[1]
A relaxed Na2MgFeF7 crystal, computed with PBE with a Hubbard U.

Summary:
For the total magnetic moment, the calculation gives 20.0 μB per cell. The corrected total energy (MP2020 scheme) comes out at -5.501 eV/atom. The value obtained for the volume is 13.00 A^3/atom.

The structure in CIF format:
```
data_Na2MgFeF7
_chemical_formula_sum 'Na8 Mg4 Fe4 F28'
_symmetry_space_group_name_H-M 'I m m a'
_symmetry_Int_Tables_number 74
_symmetry_space_group_name_Hall '-I 2b 2'
_cell_length_a 7.2797
_cell_length_b 10.4411
_cell_length_c 7.5263
_cell_angle_alpha 90.00
_cell_angle_beta 90.00
_cell_angle_gamma 90.00
loop_
_atom_site_label
_atom_site_fract_x
_atom_site_fract_y
_atom_site_fract_z
Na1 0.0000 0.0000 0.0000
Na2 0.2500 0.2500 0.2500
Mg1 0.2500 0.2500 0.7500
Fe1 0.0000 0.0000 0.5000
F1 0.0000 0.0927 0.2700
F2 0.0000 0.2500 0.8465
F3 0.1976 0.1157 0.5672
```


[2]
A relaxed AlFe2O4 crystal, computed with PBE with a Hubbard U.

Summary:
The distance to the lowest polymorph of the same formula comes out at 499 meV/atom. For the total magnetic moment, the calculation gives 0.0 μB per cell. The corrected total energy (MP2020 scheme) comes out at -7.518 eV/atom. The value obtained for the volume is 10.53 A^3/atom.

The structure in CIF format:
```
data_AlFe2O4
_chemical_formula_sum 'Al6 Fe12 O24'
_symmetry_space_group_name_H-M 'R -3 m'
_symmetry_Int_Tables_number 166
_symmetry_space_group_name_Hall '-R 3 2"'
_cell_length_a 5.8881
_cell_length_b 5.8881
_cell_length_c 14.7240
_cell_angle_alpha 90.00
_cell_angle_beta 90.00
_cell_angle_gamma 120.00
loop_
_atom_site_label
_atom_site_fract_x
_atom_site_fract_y
_atom_site_fract_z
Al1 0.0000 0.0000 0.1274
Fe1 0.0000 0.0000 0.5000
Fe2 0.0000 0.5000 0.0000
O1 0.0000 0.0000 0.2490
O2 0.0018 0.5009 0.2476
```


[3]
A relaxed Li7Mn8B8O24 crystal, computed with PBE with a Hubbard U.

Summary:
For the total magnetic moment, the calculation gives 39.0 μB per cell. The corrected total energy (MP2020 scheme) comes out at -7.992 eV/atom. The value obtained for the volume is 10.64 A^3/atom.

The structure in CIF format:
```
data_Li7Mn8B8O24
_chemical_formula_sum 'Li7 Mn8 B8 O24'
_symmetry_space_group_name_H-M 'P 1'
_symmetry_Int_Tables_number 1
_cell_length_a 5.2728
_cell_length_b 9.0794
_cell_length_c 10.4534
_cell_angle_alpha 88.65
_cell_angle_beta 88.64
_cell_angle_gamma 89.56
loop_
_symmetry_equiv_pos_as_xyz
'x,y,z'
loop_
_atom_site_label
_atom_site_fract_x
_atom_site_fract_y
_atom_site_fract_z
Li1 0.0000 0.0000 0.0000
Li2 0.0232 0.9910 0.4968
Li3 0.1458 0.1606 0.7523
Li4 0.2010 0.1484 0.2395
Li5 0.5159 0.4875 0.5083
Li6 0.6419 0.6564 0.7457
Li7 0.6998 0.6436 0.2492
Mn1 0.0066 0.6570 0.5312
Mn2 0.1578 0.8239 0.7817
Mn3 0.1981 0.4889 0.2796
Mn4 0.5113 0.8019 0.0296
Mn5 0.5127 0.1565 0.5335
Mn6 0.6484 0.3220 0.7911
Mn7 0.6857 0.9754 0.2808
Mn8 0.9932 0.3456 0.0336
B1 0.0043 0.3224 0.5403
B2 0.0200 0.6531 0.0407
B3 0.1557 0.4955 0.7872
B4 0.1860 0.8201 0.2903
B5 0.5044 0.8232 0.5384
B6 0.5164 0.1435 0.0386
B7 0.6605 0.9897 0.7905
B8 0.6881 0.3220 0.2843
O1 0.0048 0.6136 0.7472
O2 0.0339 0.3668 0.8392
O3 0.0354 0.6969 0.3209
O4 0.0818 0.9600 0.3020
O5 0.1223 0.1869 0.5564
O6 0.1285 0.7842 0.9945
O7 0.1395 0.4431 0.4910
O8 0.1786 0.5299 0.0683
O9 0.2453 0.8402 0.5699
O10 0.2556 0.1536 0.0490
O11 0.4116 0.4983 0.7737
O12 0.4366 0.7981 0.2513
O13 0.5102 0.1084 0.7500
O14 0.5483 0.8528 0.8183
O15 0.5566 0.1935 0.3169
O16 0.5833 0.4568 0.3105
O17 0.6166 0.6866 0.5516
O18 0.6479 0.9446 0.4961
O19 0.6498 0.0154 0.0735
O20 0.6602 0.2628 0.9923
O21 0.7485 0.3370 0.5770
O22 0.7670 0.6390 0.0628
O23 0.9190 0.0062 0.8057
O24 0.9371 0.3132 0.2282
```


[4]
A relaxed MgTiMn3O8 crystal, computed with PBE with a Hubbard U.

Summary:
The distance to the lowest polymorph of the same formula comes out at 11 meV/atom. For the total magnetic moment, the calculation gives 22.0 μB per cell. The corrected total energy (MP2020 scheme) comes out at -8.289 eV/atom. The value obtained for the volume is 12.26 A^3/atom.

The structure in CIF format:
```
data_MgTiMn3O8
_chemical_formula_sum 'Mg2 Ti2 Mn6 O16'
_symmetry_space_group_name_H-M 'C 1 2/m 1'
_symmetry_Int_Tables_number 12
_cell_length_a 10.2830
_cell_length_b 5.9261
_cell_length_c 6.2843
_cell_angle_alpha 90.00
_cell_angle_beta 123.64
_cell_angle_gamma 90.00
loop_
_symmetry_equiv_pos_as_xyz
'x,y,z'
'-x,-y,-z'
'-x,y,-z'
'x,-y,z'
'x+1/2,y+1/2,z'
'-x+1/2,-y+1/2,-z'
'-x+1/2,y+1/2,-z'
'x+1/2,-y+1/2,z'
loop_
_atom_site_label
_atom_site_fract_x
_atom_site_fract_y
_atom_site_fract_z
Mg1 0.0000 0.0000 0.0000
Ti1 0.0000 0.5000 0.0000
Mn1 0.0000 0.5000 0.5000
Mn2 0.2500 0.2500 0.0000
O1 0.0240 0.2646 0.8029
O2 0.2340 0.5000 0.1910
O3 0.2456 0.0000 0.1968
```


[5]
A relaxed LiVCrP4O14 crystal, computed with PBE with a Hubbard U.

Summary:
The distance to the lowest polymorph of the same formula comes out at 0 meV/atom. For the total magnetic moment, the calculation gives 4.1 μB per cell. The corrected total energy (MP2020 scheme) comes out at -7.958 eV/atom. The value obtained for the volume is 12.55 A^3/atom.

The structure in CIF format:
```
data_LiVCrP4O14
_chemical_formula_sum 'Li1 V1 Cr1 P4 O14'
_symmetry_space_group_name_H-M 'P 1'
_symmetry_Int_Tables_number 1
_cell_length_a 4.8870
_cell_length_b 7.0085
_cell_length_c 8.0742
_cell_angle_alpha 89.95
_cell_angle_beta 89.62
_cell_angle_gamma 72.39
loop_
_symmetry_equiv_pos_as_xyz
'x,y,z'
loop_
_atom_site_label
_atom_site_fract_x
_atom_site_fract_y
_atom_site_fract_z
Li1 0.0000 0.0000 0.0000
V1 0.0375 0.9512 0.6279
Cr1 0.6188 0.4033 0.1376
P1 0.0639 0.5824 0.9124
P2 0.2312 0.1585 0.3154
P3 0.4342 0.1952 0.8119
P4 0.6072 0.7644 0.4125
O1 0.0030 0.1870 0.1805
O2 0.0988 0.1552 0.4892
O3 0.2213 0.0704 0.8112
O4 0.2503 0.5961 0.0606
O5 0.2545 0.4239 0.7775
O6 0.4118 0.2984 0.3112
O7 0.4124 0.7711 0.5647
O8 0.4372 0.9314 0.2810
O9 0.5775 0.1843 0.9817
O10 0.6548 0.1357 0.6721
O11 0.7012 0.5719 0.3172
O12 0.8025 0.5194 0.9560
O13 0.8742 0.8234 0.4672
O14 0.9801 0.7850 0.8198
```


[6]
A relaxed HoTlMo2O8 crystal, computed with PBE with a Hubbard U.

Summary:
For the total magnetic moment, the calculation gives 0.0 μB per cell. The corrected total energy (MP2020 scheme) comes out at -8.065 eV/atom. The value obtained for the volume is 16.45 A^3/atom.

The structure in CIF format:
```
data_HoTlMo2O8
_chemical_formula_sum 'Ho4 Tl4 Mo8 O32'
_symmetry_space_group_name_H-M 'P b c n'
_symmetry_Int_Tables_number 60
_cell_length_a 5.1349
_cell_length_b 18.8401
_cell_length_c 8.1606
_cell_angle_alpha 90.00
_cell_angle_beta 90.00
_cell_angle_gamma 90.00
loop_
_symmetry_equiv_pos_as_xyz
'x,y,z'
'-x,-y,-z'
'-x+1/2,-y+1/2,z+1/2'
'x+1/2,y+1/2,-z+1/2'
'x+1/2,-y+1/2,-z'
'-x+1/2,y+1/2,z'
'-x,y,-z+1/2'
'x,-y,z+1/2'
loop_
_atom_site_label
_atom_site_fract_x
_atom_site_fract_y
_atom_site_fract_z
Ho1 0.0000 0.0065 0.2500
Tl1 0.0000 0.2306 0.7500
Mo1 0.0224 0.4006 0.0154
O1 0.0993 0.3132 0.4759
O2 0.2326 0.4030 0.8390
O3 0.2426 0.4109 0.1893
O4 0.2459 0.0356 0.0056
```


> Among the records above, which one has the highest corrected total energy (MP2020 scheme)?

Na2MgFeF7